Entry 1:
The following is a PBE-GGA calculation of an optimized crystal structure of Hf2TcPd, from the Materials Project database.

DFT formation energy, meV per atom: -622
Calculated volume, Å³/cell: 71.2

a b c (Å): 4.6524 4.6524 4.6524
angles (deg): 60.00 60.00 60.00
With the nearest neighbours (Å) after each atom.
Atoms (fractional coordinates):
1 Hf 0.2500 0.2500 0.2500  4 Pd 2.85, 4 Tc 2.85
2 Hf 0.7500 0.7500 0.7500  4 Pd 2.85, 4 Tc 2.85
3 Tc 0.0000 0.0000 0.0000  8 Hf 2.85
4 Pd 0.5000 0.5000 0.5000  8 Hf 2.85

=====

Entry 2:
The following is a PBE-GGA calculation of an optimized crystal structure of PmHf, from the Materials Project database.

DFT formation energy, meV per atom: 260
Calculated volume, Å³/cell: 54.8

a b c (Å): 3.3747 3.3747 5.5528
angles (deg): 90.00 90.00 120.00
With the nearest neighbours (Å) after each atom.
Atoms (fractional coordinates):
1 Pm 0.0000 0.0000 0.0000  6 Pm 3.37, 6 Hf 3.39
2 Hf 0.3333 0.6667 0.5000  6 Hf 3.37, 6 Pm 3.39

=====

Entry 3:
The following is a PBE-GGA calculation of an optimized crystal structure of Pr3HfSb5, from the Materials Project database.

MP2020-corrected energy, Ry/atom: -0.4436
DFT formation energy, meV per atom: -1042
Calculated volume, Å³/cell: 503.7

a b c (Å): 9.5504 9.5504 6.3762
angles (deg): 90.00 90.00 120.00
With the nearest neighbours (Å) after each atom.
Atoms (fractional coordinates):
1 Pr 0.6171 0.0000 0.2500  9 Sb 3.23-3.41
2 Pr 0.3829 0.0000 0.7500  9 Sb 3.23-3.41
3 Pr 0.0000 0.6171 0.2500  9 Sb 3.23-3.41
4 Pr 0.0000 0.3829 0.7500  9 Sb 3.23-3.41
5 Pr 0.3829 0.3829 0.2500  9 Sb 3.23-3.41
6 Pr 0.6171 0.6171 0.7500  9 Sb 3.23-3.41
7 Hf 0.0000 0.0000 0.0000  6 Sb 2.96, 2 Hf 3.19
8 Hf 0.0000 0.0000 0.5000  6 Sb 2.96, 2 Hf 3.19
9 Sb 0.2605 0.0000 0.2500  2 Hf 2.96, 2 Pr 3.23
10 Sb 0.7395 0.0000 0.7500  2 Hf 2.96, 2 Pr 3.23
11 Sb 0.0000 0.2605 0.2500  2 Hf 2.96, 2 Pr 3.23
12 Sb 0.0000 0.7395 0.7500  2 Hf 2.96, 2 Pr 3.23
13 Sb 0.7395 0.7395 0.2500  2 Hf 2.96, 2 Pr 3.23
14 Sb 0.2605 0.2605 0.7500  2 Hf 2.96, 2 Pr 3.23
15 Sb 0.3333 0.6667 0.0000  2 Sb 3.19, 6 Pr 3.38
16 Sb 0.6667 0.3333 0.0000  2 Sb 3.19, 6 Pr 3.38
17 Sb 0.6667 0.3333 0.5000  2 Sb 3.19, 6 Pr 3.38
18 Sb 0.3333 0.6667 0.5000  2 Sb 3.19, 6 Pr 3.38

=====

Entry 4:
The following is a PBE-GGA calculation of an optimized crystal structure of HfPt, from the Materials Project database.

DFT formation energy, meV per atom: -976
Calculated volume, Å³/cell: 36.9

a b c (Å): 3.3298 3.3298 3.3298
angles (deg): 90.00 90.00 90.00
With the nearest neighbours (Å) after each atom.
Atoms (fractional coordinates):
1 Hf 0.0000 0.0000 0.0000  8 Pt 2.88
2 Pt 0.5000 0.5000 0.5000  8 Hf 2.88

=====

Entry 5:
The following is a PBE-GGA calculation of an optimized crystal structure of HfPt3, from the Materials Project database.

DFT formation energy, meV per atom: -1085
Calculated volume, Å³/cell: 65.6

a b c (Å): 4.0335 4.0335 4.0335
angles (deg): 90.00 90.00 90.00
With the nearest neighbours (Å) after each atom.
Atoms (fractional coordinates):
1 Hf 0.0000 0.0000 0.0000  12 Pt 2.85
2 Pt 0.5000 0.5000 0.0000  4 Hf 2.85, 8 Pt 2.85
3 Pt 0.5000 0.0000 0.5000  4 Hf 2.85, 8 Pt 2.85
4 Pt 0.0000 0.5000 0.5000  4 Hf 2.85, 8 Pt 2.85

=====

Entry 6:
The following is a PBE-GGA calculation of an optimized crystal structure of HfPt, from the Materials Project database.

DFT formation energy, meV per atom: -1148
Calculated volume, Å³/cell: 75.7

a b c (Å): 5.4557 5.4557 4.3157
angles (deg): 90.00 90.00 143.88
With the nearest neighbours (Å) after each atom.
Atoms (fractional coordinates):
1 Hf 0.8573 0.1427 0.7500  7 Pt 2.74-2.97
2 Hf 0.1427 0.8573 0.2500  7 Pt 2.74-2.97
3 Pt 0.5928 0.4072 0.7500  7 Hf 2.74-2.97, 2 Pt 2.89
4 Pt 0.4072 0.5928 0.2500  7 Hf 2.74-2.97, 2 Pt 2.89

=====

Entry 7:
The following is a PBE-GGA calculation of an optimized crystal structure of Hf2Pt3, from the Materials Project database.

DFT formation energy, meV per atom: -1116
Calculated volume, Å³/cell: 89.6

a b c (Å): 7.7790 7.7790 7.7790
angles (deg): 154.12 154.12 36.93
With the nearest neighbours (Å) after each atom.
Atoms (fractional coordinates):
1 Hf 0.8892 0.8892 0.0000  9 Pt 2.76-2.96
2 Hf 0.1108 0.1108 0.0000  9 Pt 2.76-2.96
3 Pt 0.5000 0.5000 0.0000  2 Pt 2.87, 8 Hf 2.96
4 Pt 0.3053 0.3053 0.0000  5 Hf 2.76-2.87, 5 Pt 2.87-2.96
5 Pt 0.6947 0.6947 0.0000  5 Hf 2.76-2.87, 5 Pt 2.87-2.96

=====

Entry 8:
The following is a PBE-GGA calculation of an optimized crystal structure of HfPt3, from the Materials Project database.

DFT formation energy, meV per atom: -1089
Calculated volume, Å³/cell: 263.3

a b c (Å): 5.7105 5.7105 9.3249
angles (deg): 90.00 90.00 120.00
With the nearest neighbours (Å) after each atom.
Atoms (fractional coordinates):
1 Hf 0.0000 0.0000 0.5000  12 Pt 2.86-2.87
2 Hf 0.6667 0.3333 0.7500  12 Pt 2.86
3 Hf 0.3333 0.6667 0.2500  12 Pt 2.86
4 Hf 0.0000 0.0000 0.0000  12 Pt 2.86-2.87
5 Pt 0.1691 0.3382 0.7500  8 Pt 2.81-2.90, 4 Hf 2.86-2.87
6 Pt 0.0000 0.5000 0.0000  8 Pt 2.85-2.86, 4 Hf 2.86
7 Pt 0.8309 0.6618 0.2500  8 Pt 2.81-2.90, 4 Hf 2.86-2.87
8 Pt 0.3382 0.1691 0.2500  8 Pt 2.81-2.90, 4 Hf 2.86-2.87
9 Pt 0.5000 0.5000 0.0000  8 Pt 2.85-2.86, 4 Hf 2.86
10 Pt 0.8309 0.1691 0.2500  8 Pt 2.81-2.90, 4 Hf 2.86-2.87
11 Pt 0.5000 0.5000 0.5000  8 Pt 2.85-2.86, 4 Hf 2.86
12 Pt 0.5000 0.0000 0.5000  8 Pt 2.85-2.86, 4 Hf 2.86
13 Pt 0.1691 0.8309 0.7500  8 Pt 2.81-2.90, 4 Hf 2.86-2.87
14 Pt 0.6618 0.8309 0.7500  8 Pt 2.81-2.90, 4 Hf 2.86-2.87
15 Pt 0.5000 0.0000 0.0000  8 Pt 2.85-2.86, 4 Hf 2.86
16 Pt 0.0000 0.5000 0.5000  8 Pt 2.85-2.86, 4 Hf 2.86

=====

Entry 9:
The following is a PBE-GGA calculation of an optimized crystal structure of PuHf3, from the Materials Project database.

DFT formation energy, meV per atom: 82
Calculated volume, Å³/cell: 180.6

a b c (Å): 6.3661 6.3661 5.1468
angles (deg): 90.00 90.00 120.00
With the nearest neighbours (Å) after each atom.
Atoms (fractional coordinates):
1 Pu 0.3333 0.6667 0.7500  12 Hf 3.18
2 Pu 0.6667 0.3333 0.2500  12 Hf 3.18
3 Hf 0.1646 0.3291 0.2500  8 Hf 3.14-3.22, 4 Pu 3.18
4 Hf 0.6709 0.8354 0.2500  8 Hf 3.14-3.22, 4 Pu 3.18
5 Hf 0.1646 0.8354 0.2500  8 Hf 3.14-3.22, 4 Pu 3.18
6 Hf 0.8354 0.6709 0.7500  8 Hf 3.14-3.22, 4 Pu 3.18
7 Hf 0.3291 0.1646 0.7500  8 Hf 3.14-3.22, 4 Pu 3.18
8 Hf 0.8354 0.1646 0.7500  8 Hf 3.14-3.22, 4 Pu 3.18

=====

Entry 10:
The following is a PBE-GGA calculation of an optimized crystal structure of Rb2HfS4, from the Materials Project database.

MP2020-corrected energy, Ry/atom: -0.4148
DFT formation energy, meV per atom: -1577
Calculated volume, Å³/cell: 1630.8

a b c (Å): 6.7801 9.8873 24.3274
angles (deg): 90.00 90.00 90.00
With the nearest neighbours (Å) after each atom.
Atoms (fractional coordinates):
1 Rb 0.3072 0.8583 0.4664  6 S 3.23-3.56
2 Rb 0.5458 0.9278 0.3009  7 S 3.34-3.60
3 Rb 0.0458 0.0722 0.1991  7 S 3.34-3.60
4 Rb 0.8072 0.6417 0.4664  6 S 3.23-3.56
5 Rb 0.0458 0.5722 0.3009  7 S 3.34-3.60
6 Rb 0.1928 0.3583 0.5336  6 S 3.23-3.56
7 Rb 0.4542 0.5722 0.8009  7 S 3.34-3.60
8 Rb 0.3072 0.3583 0.0336  6 S 3.23-3.56
9 Rb 0.9542 0.9278 0.8009  7 S 3.34-3.60
10 Rb 0.1928 0.8583 0.9664  6 S 3.23-3.56
11 Rb 0.6928 0.6417 0.9664  6 S 3.23-3.56
12 Rb 0.4542 0.0722 0.6991  7 S 3.34-3.60
13 Rb 0.8072 0.1417 0.0336  6 S 3.23-3.56
14 Rb 0.5458 0.4278 0.1991  7 S 3.34-3.60
15 Rb 0.9542 0.4278 0.6991  7 S 3.34-3.60
16 Rb 0.6928 0.1417 0.5336  6 S 3.23-3.56
17 Hf 0.0334 0.6746 0.1308  6 S 2.49-2.59
18 Hf 0.5334 0.8254 0.1308  6 S 2.49-2.59
19 Hf 0.4666 0.6746 0.6308  6 S 2.49-2.59
20 Hf 0.4666 0.1746 0.8692  6 S 2.49-2.59
21 Hf 0.5334 0.3254 0.3692  6 S 2.49-2.59
22 Hf 0.9666 0.8254 0.6308  6 S 2.49-2.59
23 Hf 0.9666 0.3254 0.8692  6 S 2.49-2.59
24 Hf 0.0334 0.1746 0.3692  6 S 2.49-2.59
25 S 0.0518 0.4225 0.1588  1 S 2.11
26 S 0.4482 0.4225 0.6588  1 S 2.11
27 S 0.9482 0.5775 0.8412  1 S 2.11
28 S 0.8761 0.4602 0.0887  1 S 2.11
29 S 0.7677 0.7288 0.1999  2 Hf 2.50-2.52
30 S 0.1239 0.5398 0.9113  1 S 2.11
31 S 0.6558 0.3283 0.9311  2 Hf 2.49-2.59
32 S 0.5518 0.5775 0.3412  1 S 2.11
33 S 0.1239 0.0398 0.5887  1 S 2.11
34 S 0.6558 0.8283 0.5689  2 Hf 2.49-2.59
35 S 0.3442 0.1717 0.4311  2 Hf 2.49-2.59
36 S 0.2323 0.2712 0.8001  2 Hf 2.50-2.52
37 S 0.0518 0.9225 0.3412  1 S 2.11
38 S 0.1558 0.1717 0.9311  2 Hf 2.49-2.59
39 S 0.3761 0.5398 0.4113  1 S 2.11
40 S 0.2677 0.2712 0.3001  2 Hf 2.50-2.52
41 S 0.7323 0.7288 0.6999  2 Hf 2.50-2.52
42 S 0.6239 0.9602 0.9113  1 S 2.11
43 S 0.8761 0.9602 0.4113  1 S 2.11
44 S 0.2323 0.7712 0.6999  2 Hf 2.50-2.52
45 S 0.7677 0.2288 0.3001  2 Hf 2.50-2.52
46 S 0.6239 0.4602 0.5887  1 S 2.11
47 S 0.7323 0.2288 0.8001  2 Hf 2.50-2.52
48 S 0.9482 0.0775 0.6588  1 S 2.11
49 S 0.8442 0.3283 0.4311  2 Hf 2.49-2.59
50 S 0.5518 0.0775 0.1588  1 S 2.11
51 S 0.1558 0.6717 0.5689  2 Hf 2.49-2.59
52 S 0.8442 0.8283 0.0689  2 Hf 2.49-2.59
53 S 0.3442 0.6717 0.0689  2 Hf 2.49-2.59
54 S 0.4482 0.9225 0.8412  1 S 2.11
55 S 0.2677 0.7712 0.1999  2 Hf 2.50-2.52
56 S 0.3761 0.0398 0.0887  1 S 2.11